# 1
# Er2TeO6

A relaxed Er2TeO6 crystal (PBE-GGA, the Materials Project).

Output
**Total magnetic moment**: 0.0 Bohr magnetons per cell
**Offset from the most stable computed form**: 0.054 eV/atom

The structure in CIF format:
```
data_Er2TeO6
_chemical_formula_sum 'Er4 Te2 O12'
_symmetry_space_group_name_H-M 'P 42/m n m'
_symmetry_Int_Tables_number 136
_symmetry_space_group_name_Hall '-P 4n 2n'
_cell_length_a 4.9699
_cell_length_b 4.9699
_cell_length_c 10.0196
_cell_angle_alpha 90.00
_cell_angle_beta 90.00
_cell_angle_gamma 90.00
loop_
_atom_site_label
_atom_site_type_symbol
_atom_site_fract_x
_atom_site_fract_y
_atom_site_fract_z
_atom_site_occupancy
Er1 Er 0.0000 0.0000 0.1654 1
Te1 Te 0.0000 0.0000 0.5000 1
O1 O 0.1840 0.1840 0.3528 1
O2 O 0.2205 0.2205 0.0000 1
```

---

# 2
# NaMgTi2BiO6

A relaxed NaMgTi2BiO6 crystal (PBE-GGA, the Materials Project).

Output
**Total magnetic moment**: 0.0 Bohr magnetons per cell
**Offset from the most stable computed form**: 0.144 eV/atom

The structure in CIF format:
```
data_NaMgTi2BiO6
_chemical_formula_sum 'Na3 Mg3 Ti6 Bi3 O18'
_symmetry_space_group_name_H-M 'R 3'
_symmetry_Int_Tables_number 146
_symmetry_space_group_name_Hall 'R 3'
_cell_length_a 5.3222
_cell_length_b 5.3222
_cell_length_c 15.5962
_cell_angle_alpha 90.00
_cell_angle_beta 90.00
_cell_angle_gamma 120.00
loop_
_atom_site_label
_atom_site_type_symbol
_atom_site_fract_x
_atom_site_fract_y
_atom_site_fract_z
_atom_site_occupancy
Na1 Na 0.0000 0.0000 0.0000 1
Mg1 Mg 0.0000 0.0000 0.1552 1
Ti1 Ti 0.0000 0.0000 0.3403 1
Ti2 Ti 0.0000 0.0000 0.8181 1
Bi1 Bi 0.0000 0.0000 0.5747 1
O1 O 0.0088 0.6368 0.0824 1
O2 O 0.1142 0.3396 0.9051 1
```

---

# 3
# EuZrO3

A relaxed EuZrO3 crystal (PBE-GGA, the Materials Project).

Output
**Total magnetic moment**: 7.0 Bohr magnetons per cell

The structure in CIF format:
```
data_EuZrO3
_chemical_formula_sum 'Eu1 Zr1 O3'
_symmetry_space_group_name_H-M 'P m -3 m'
_symmetry_Int_Tables_number 221
_symmetry_space_group_name_Hall '-P 4 2 3'
_cell_length_a 4.1973
_cell_length_b 4.1973
_cell_length_c 4.1973
_cell_angle_alpha 90.00
_cell_angle_beta 90.00
_cell_angle_gamma 90.00
loop_
_atom_site_label
_atom_site_type_symbol
_atom_site_fract_x
_atom_site_fract_y
_atom_site_fract_z
_atom_site_occupancy
Eu1 Eu 0.0000 0.0000 0.0000 1
Zr1 Zr 0.5000 0.5000 0.5000 1
O1 O 0.0000 0.5000 0.5000 1
```

---

# 4
# Na3SbO3

A relaxed Na3SbO3 crystal (PBE-GGA, the Materials Project).

Output
**Piezoelectric modulus e_max**: 0.04 C/m2

The structure in CIF format:
```
data_Na3SbO3
_chemical_formula_sum 'Na24 Sb8 O24'
_symmetry_space_group_name_H-M 'I -4 3 m'
_symmetry_Int_Tables_number 217
_symmetry_space_group_name_Hall 'I -4 2 3'
_cell_length_a 9.6282
_cell_length_b 9.6282
_cell_length_c 9.6282
_cell_angle_alpha 90.00
_cell_angle_beta 90.00
_cell_angle_gamma 90.00
loop_
_atom_site_label
_atom_site_type_symbol
_atom_site_fract_x
_atom_site_fract_y
_atom_site_fract_z
_atom_site_occupancy
Na1 Na 0.1032 0.3779 0.3779 1
Sb1 Sb 0.1451 0.1451 0.1451 1
O1 O 0.1298 0.1298 0.3504 1
```

---

# 5
# Pr2Br2O

A relaxed Pr2Br2O crystal (PBE-GGA, the Materials Project).

Output
**Total magnetic moment**: 0.7 Bohr magnetons per cell

The structure in CIF format:
```
data_Pr2Br2O
_chemical_formula_sum 'Pr2 Br2 O1'
_symmetry_space_group_name_H-M 'P 4/m m m'
_symmetry_Int_Tables_number 123
_symmetry_space_group_name_Hall '-P 4 2'
_cell_length_a 4.3099
_cell_length_b 4.3099
_cell_length_c 13.7072
_cell_angle_alpha 90.00
_cell_angle_beta 90.00
_cell_angle_gamma 90.00
loop_
_atom_site_label
_atom_site_type_symbol
_atom_site_fract_x
_atom_site_fract_y
_atom_site_fract_z
_atom_site_occupancy
Pr1 Pr 0.0000 0.0000 0.1584 1
Br1 Br 0.0000 0.0000 0.3582 1
O1 O 0.0000 0.0000 0.0000 1
```

---

# 6
# In4As5Br3O12

A relaxed In4As5Br3O12 crystal (PBE-GGA, the Materials Project).

The structure in CIF format:
```
data_In4As5Br3O12
_chemical_formula_sum 'In8 As10 Br6 O24'
_symmetry_space_group_name_H-M 'P -1'
_symmetry_Int_Tables_number 2
_symmetry_space_group_name_Hall '-P 1'
_cell_length_a 8.1681
_cell_length_b 10.7496
_cell_length_c 12.1743
_cell_angle_alpha 70.80
_cell_angle_beta 79.60
_cell_angle_gamma 80.35
loop_
_atom_site_label
_atom_site_type_symbol
_atom_site_fract_x
_atom_site_fract_y
_atom_site_fract_z
_atom_site_occupancy
In1 In 0.0000 0.0000 0.0000 1
In2 In 0.0000 0.5000 0.0000 1
In3 In 0.1540 0.1996 0.5217 1
In4 In 0.2596 0.2108 0.0133 1
In5 In 0.3479 0.7095 0.9875 1
As1 As 0.0271 0.6797 0.1965 1
As2 As 0.0748 0.9108 0.7451 1
As3 As 0.2545 0.3778 0.2296 1
As4 As 0.3745 0.5218 0.8174 1
As5 As 0.3977 0.0075 0.8167 1
Br1 Br 0.0994 0.6438 0.5548 1
Br2 Br 0.2649 0.0297 0.4104 1
Br3 Br 0.3897 0.3237 0.5273 1
O1 O 0.0676 0.0872 0.1218 1
O2 O 0.0862 0.0840 0.6934 1
O3 O 0.0937 0.3648 0.8951 1
O4 O 0.1369 0.8049 0.0823 1
O5 O 0.1605 0.3442 0.1224 1
O6 O 0.2163 0.5618 0.1743 1
O7 O 0.2231 0.5938 0.9165 1
O8 O 0.2406 0.0827 0.9101 1
O9 O 0.2724 0.8765 0.8211 1
O10 O 0.4393 0.3596 0.9147 1
O11 O 0.4724 0.3855 0.1504 1
O12 O 0.4974 0.1217 0.0703 1
```

---

| no. | calculated total energy (eV per cell) |
| --- | --- |
| 1 | -129.4 |
| 2 | -226.5 |
| 3 | -49.4 |
| 4 | -271.2 |
| 5 | -23.2 |
| 6 | -259.3 |